PBE NaLi2PO4, optimized geometry; crystal system = orthorhombic; SG = Pnma, No. 62; magnetic moment = 0.00 μB per atom
1.0
10.123 0.000 0.000
0.000 6.946 0.000
0.000 0.000 4.992
Na Li P O
4 8 4 16
Direct
0.113 0.250 0.236
0.387 0.750 0.736
0.613 0.250 0.264
0.887 0.750 0.764
0.155 0.001 0.709
0.155 0.499 0.709
0.345 0.501 0.209
0.345 0.999 0.209
0.655 0.001 0.791
0.655 0.499 0.791
0.845 0.501 0.291
0.845 0.999 0.291
0.098 0.750 0.202
0.402 0.250 0.702
0.598 0.750 0.298
0.902 0.250 0.798
0.054 0.250 0.742
0.119 0.750 0.892
0.162 0.566 0.324
0.162 0.934 0.324
0.338 0.066 0.824
0.338 0.434 0.824
0.381 0.250 0.392
0.446 0.750 0.242
0.554 0.250 0.758
0.619 0.750 0.608
0.662 0.566 0.176
0.662 0.934 0.176
0.838 0.066 0.676
0.838 0.434 0.676
0.881 0.250 0.108
0.946 0.750 0.258


PBE Na2SnS6O21, optimized geometry; crystal system = trigonal; SG = P-3, No. 147; magnetic moment = 0.00 μB per atom
1.0
15.840 0.000 0.000
-7.920 13.718 0.000
0.000 0.000 13.321
Na Sn S O
12 6 36 126
Direct
0.026 0.674 0.038
0.031 0.341 0.548
0.311 0.969 0.548
0.326 0.352 0.038
0.341 0.311 0.452
0.352 0.026 0.962
0.648 0.974 0.038
0.659 0.689 0.548
0.674 0.648 0.962
0.689 0.031 0.452
0.969 0.659 0.452
0.974 0.326 0.962
0.000 0.000 0.242
0.000 0.000 0.758
0.333 0.667 0.242
0.333 0.667 0.731
0.667 0.333 0.269
0.667 0.333 0.758
0.053 0.846 0.656
0.108 0.887 0.866
0.113 0.222 0.866
0.119 0.587 0.638
0.121 0.577 0.854
0.154 0.206 0.656
0.181 0.454 0.153
0.206 0.053 0.344
0.222 0.108 0.134
0.222 0.770 0.361
0.230 0.452 0.361
0.273 0.819 0.153
0.413 0.532 0.638
0.423 0.544 0.854
0.452 0.222 0.639
0.454 0.273 0.847
0.456 0.879 0.854
0.468 0.881 0.638
0.532 0.119 0.362
0.544 0.121 0.146
0.546 0.727 0.153
0.548 0.778 0.361
0.577 0.456 0.146
0.587 0.468 0.362
0.727 0.181 0.847
0.770 0.548 0.639
0.778 0.230 0.639
0.778 0.892 0.866
0.794 0.947 0.656
0.819 0.546 0.847
0.846 0.794 0.344
0.879 0.423 0.146
0.881 0.413 0.362
0.887 0.778 0.134
0.892 0.113 0.134
0.947 0.154 0.344
0.003 0.757 0.601
0.014 0.110 0.336
0.030 0.118 0.849
0.048 0.479 0.875
0.052 0.810 0.772
0.058 0.829 0.952
0.069 0.615 0.568
0.078 0.289 0.856
0.082 0.234 0.630
0.088 0.610 0.748
0.088 0.970 0.849
0.089 0.409 0.100
0.096 0.986 0.336
0.100 0.488 0.639
0.110 0.096 0.664
0.118 0.088 0.151
0.120 0.740 0.355
0.136 0.653 0.922
0.148 0.429 0.271
0.151 0.918 0.630
0.171 0.229 0.952
0.174 0.749 0.131
0.180 0.456 0.449
0.190 0.242 0.772
0.211 0.922 0.856
0.216 0.580 0.826
0.224 0.565 0.150
0.228 0.662 0.634
0.229 0.058 0.048
0.234 0.151 0.370
0.236 0.685 0.332
0.242 0.052 0.228
0.243 0.246 0.601
0.246 0.003 0.399
0.251 0.425 0.131
0.260 0.380 0.355
0.276 0.820 0.449
0.280 0.852 0.271
0.289 0.211 0.144
0.315 0.551 0.332
0.320 0.911 0.100
0.338 0.566 0.634
0.340 0.776 0.150
0.347 0.483 0.922
0.364 0.784 0.826
0.380 0.120 0.645
0.385 0.454 0.568
0.388 0.900 0.639
0.390 0.478 0.748
0.409 0.320 0.900
0.420 0.636 0.826
0.425 0.174 0.869
0.429 0.280 0.729
0.430 0.952 0.875
0.434 0.772 0.634
0.435 0.660 0.150
0.449 0.764 0.332
0.454 0.069 0.432
0.456 0.276 0.551
0.478 0.088 0.252
0.479 0.430 0.125
0.483 0.136 0.078
0.488 0.388 0.361
0.512 0.612 0.639
0.517 0.864 0.922
0.521 0.570 0.875
0.522 0.912 0.748
0.544 0.724 0.449
0.546 0.931 0.568
0.551 0.236 0.668
0.565 0.340 0.850
0.566 0.228 0.366
0.570 0.048 0.125
0.571 0.720 0.271
0.575 0.826 0.131
0.580 0.364 0.174
0.591 0.680 0.100
0.610 0.522 0.252
0.612 0.100 0.361
0.615 0.546 0.432
0.620 0.880 0.355
0.636 0.216 0.174
0.653 0.517 0.078
0.660 0.224 0.850
0.662 0.434 0.366
0.680 0.089 0.900
0.685 0.449 0.668
0.711 0.789 0.856
0.720 0.148 0.729
0.724 0.180 0.551
0.740 0.620 0.645
0.749 0.575 0.869
0.754 0.997 0.601
0.757 0.754 0.399
0.758 0.948 0.772
0.764 0.315 0.668
0.766 0.849 0.630
0.771 0.942 0.952
0.772 0.338 0.366
0.776 0.435 0.850
0.784 0.420 0.174
0.789 0.078 0.144
0.810 0.758 0.228
0.820 0.544 0.551
0.826 0.251 0.869
0.829 0.771 0.048
0.849 0.082 0.370
0.852 0.571 0.729
0.864 0.347 0.078
0.880 0.260 0.645
0.882 0.912 0.849
0.890 0.904 0.336
0.900 0.512 0.361
0.904 0.014 0.664
0.911 0.591 0.900
0.912 0.030 0.151
0.912 0.390 0.252
0.918 0.766 0.370
0.922 0.711 0.144
0.931 0.385 0.432
0.942 0.171 0.048
0.948 0.190 0.228
0.952 0.521 0.125
0.970 0.882 0.151
0.986 0.890 0.664
0.997 0.243 0.399


PBE Na10B18H6O35, optimized geometry; crystal system = triclinic; SG = P1, No. 1
1.0
6.752 0.000 0.000
1.405 9.362 0.000
2.984 0.935 11.516
Na B H O
10 18 6 35
Direct
0.000 0.000 0.000
0.010 0.345 0.550
0.200 0.013 0.314
0.217 0.377 0.879
0.372 0.769 0.842
0.393 0.651 0.319
0.607 0.226 0.167
0.631 0.132 0.706
0.835 0.749 0.548
0.855 0.614 0.029
0.009 0.034 0.586
0.046 0.315 0.141
0.179 0.063 0.733
0.208 0.355 0.288
0.241 0.562 0.646
0.260 0.520 0.109
0.360 0.766 0.098
0.384 0.951 0.553
0.498 0.991 0.007
0.562 0.496 0.504
0.580 0.523 0.710
0.639 0.851 0.168
0.660 0.920 0.364
0.727 0.386 0.870
0.834 0.421 0.319
0.863 0.612 0.773
0.962 0.862 0.764
0.979 0.817 0.230
0.319 0.123 0.853
0.412 0.353 0.388
0.549 0.135 0.368
0.605 0.181 0.936
0.819 0.080 0.462
0.907 0.257 0.021
0.005 0.423 0.359
0.013 0.216 0.066
0.033 0.578 0.664
0.044 0.133 0.662
0.082 0.937 0.810
0.139 0.443 0.067
0.178 0.249 0.217
0.191 0.802 0.205
0.206 0.968 0.512
0.219 0.164 0.805
0.314 0.474 0.213
0.316 0.644 0.045
0.333 0.284 0.369
0.348 0.534 0.531
0.350 0.564 0.728
0.365 0.892 0.008
0.381 0.995 0.661
0.521 0.097 0.917
0.546 0.871 0.290
0.556 0.736 0.130
0.567 0.887 0.489
0.608 0.987 0.091
0.611 0.392 0.786
0.637 0.468 0.389
0.669 0.641 0.736
0.674 0.488 0.585
0.682 0.076 0.341
0.708 0.282 0.959
0.837 0.380 0.213
0.861 0.488 0.861
0.872 0.813 0.146
0.873 0.120 0.519
0.879 0.846 0.342
0.906 0.735 0.825
0.906 0.911 0.662


PBE MgReO4, optimized geometry; crystal system = orthorhombic; SG = Cmmm, No. 65; magnetic moment = 0.17 μB per atom
1.0
3.262 -3.364 0.000
3.262 3.364 0.000
0.000 0.000 3.104
Mg Re O
1 1 4
Direct
0.000 0.000 0.000
0.500 0.500 0.500
0.217 0.217 0.500
0.312 0.688 0.000
0.688 0.312 0.000
0.783 0.783 0.500


PBE YMgSbPb2O6, optimized geometry; crystal system = monoclinic; ΔE to the lowest computed polymorph = 0.0 meV/atom; SG = Cm, No. 8; magnetic moment = 0.00 μB per atom
1.0
5.391 -3.210 0.000
5.391 3.210 0.000
-1.828 0.000 5.676
Y Mg Sb Pb O
1 1 1 2 6
Direct
0.000 0.000 0.000
0.081 0.081 0.523
0.601 0.601 0.636
0.331 0.331 0.091
0.768 0.768 0.287
0.142 0.738 0.277
0.189 0.189 0.302
0.319 0.869 0.801
0.738 0.142 0.277
0.798 0.798 0.718
0.869 0.319 0.801


PBE ZnPd5Se, optimized geometry; crystal system = tetragonal; SG = P4/mmm, No. 123
1.0
4.005 0.000 0.000
0.000 4.005 0.000
0.000 0.000 7.070
Zn Pd Se
1 5 1
Direct
0.000 0.000 0.000
0.000 0.500 0.274
0.000 0.500 0.726
0.500 0.000 0.274
0.500 0.000 0.726
0.500 0.500 0.000
0.500 0.500 0.500


no.,DFT formation energy (meV/atom),electronic total energy (eV/atom)
1,-2687,-6.1362
2,-1873,-5.9051
3,-2548,-6.9383
4,-2362,-7.5439
5,-2176,-6.2844
6,-393,-4.7051